#A
First-principles (GGA+U) data for a relaxed Mn4O7F crystal, as listed in the Materials Project.

abc: 6.706 5.498 6.656
angles: 89.33 96.04 88.87
Element x y z (fractional)
Mn: 0.880 0.168 0.137
Mn: 0.370 0.129 0.611
Mn: 0.123 0.652 0.378
Mn: 0.874 0.356 0.628
Mn: 0.629 0.852 0.372
Mn: 0.138 0.858 0.876
Mn: 0.624 0.649 0.874
Mn: 0.374 0.353 0.137
F: 0.408 0.366 0.839
F: 0.855 0.895 0.921
O: 0.823 0.386 0.908
O: 0.596 0.115 0.170
O: 0.406 0.887 0.825
O: 0.654 0.106 0.576
O: 0.670 0.610 0.591
O: 0.345 0.885 0.417
O: 0.905 0.888 0.323
O: 0.172 0.613 0.094
O: 0.078 0.613 0.659
O: 0.157 0.118 0.080
O: 0.094 0.108 0.669
O: 0.925 0.395 0.350
O: 0.571 0.610 0.155
O: 0.329 0.388 0.410

#B
First-principles (GGA+U) data for a relaxed Mn4O7F crystal, as listed in the Materials Project.

abc: 6.657 6.657 6.970
angles: 65.58 65.58 96.30
Element x y z (fractional)
Mn: 0.800 0.802 0.646
Mn: 0.699 0.199 0.851
Mn: 0.702 0.195 0.349
Mn: 0.199 0.699 0.351
Mn: 0.802 0.800 0.146
Mn: 0.322 0.302 0.641
Mn: 0.302 0.322 0.141
Mn: 0.195 0.702 0.849
O: 0.961 0.136 0.391
O: 0.464 0.628 0.390
O: 0.607 0.273 0.606
O: 0.895 0.721 0.393
O: 0.095 0.766 0.616
O: 0.136 0.961 0.891
O: 0.540 0.870 0.607
O: 0.273 0.607 0.106
O: 0.227 0.401 0.888
O: 0.721 0.895 0.893
O: 0.401 0.227 0.388
O: 0.766 0.095 0.116
O: 0.870 0.540 0.107
O: 0.628 0.464 0.890
F: 0.345 0.050 0.120
F: 0.050 0.345 0.620

The energy of each structure relative to the most stable one, in meV per atom, is as follows: #A 0; #B 5.

#A
First-principles (GGA+U) data for a relaxed MoH4O5 crystal, as listed in the Materials Project.

abc: 14.185 10.644 11.227
angles: 89.33 90.00 90.00
Element x y z (fractional)
H: 0.451 0.710 0.887
H: 0.035 0.853 0.198
H: 0.072 0.662 0.944
H: 0.468 0.967 0.132
H: 0.978 0.717 0.887
H: 0.946 0.792 0.140
H: 0.462 0.347 0.187
H: 0.554 0.292 0.640
H: 0.091 0.571 0.221
H: 0.916 0.364 0.277
H: 0.049 0.210 0.387
H: 0.559 0.493 0.613
H: 0.532 0.033 0.868
H: 0.059 0.007 0.887
H: 0.909 0.429 0.779
H: 0.444 0.394 0.484
H: 0.944 0.106 0.016
H: 0.433 0.757 0.125
H: 0.549 0.290 0.113
H: 0.538 0.653 0.813
H: 0.539 0.033 0.364
H: 0.454 0.105 0.940
H: 0.054 0.003 0.382
H: 0.409 0.071 0.721
H: 0.461 0.967 0.636
H: 0.084 0.636 0.723
H: 0.572 0.838 0.556
H: 0.554 0.497 0.118
H: 0.039 0.467 0.136
H: 0.446 0.503 0.882
H: 0.535 0.647 0.302
H: 0.928 0.338 0.056
H: 0.947 0.116 0.531
H: 0.961 0.533 0.864
H: 0.428 0.162 0.444
H: 0.056 0.894 0.984
H: 0.556 0.606 0.516
H: 0.465 0.353 0.698
H: 0.951 0.790 0.613
H: 0.933 0.743 0.375
H: 0.965 0.147 0.802
H: 0.522 0.217 0.387
H: 0.446 0.708 0.360
H: 0.067 0.257 0.625
H: 0.553 0.616 0.031
H: 0.441 0.507 0.387
H: 0.416 0.136 0.223
H: 0.022 0.283 0.113
H: 0.447 0.384 0.969
H: 0.567 0.243 0.875
H: 0.954 0.395 0.560
H: 0.946 0.997 0.618
H: 0.032 0.467 0.632
H: 0.584 0.864 0.777
H: 0.962 0.153 0.313
H: 0.591 0.929 0.279
H: 0.054 0.208 0.860
H: 0.941 0.993 0.113
H: 0.038 0.847 0.687
H: 0.053 0.884 0.469
H: 0.546 0.895 0.060
H: 0.046 0.605 0.440
H: 0.478 0.783 0.613
H: 0.968 0.533 0.368
O: 0.805 0.253 0.007
O: 0.220 0.013 0.254
O: 0.504 0.356 0.626
O: 0.638 0.166 0.107
O: 0.695 0.753 0.507
O: 0.256 0.514 0.511
O: 0.408 0.670 0.118
O: 0.818 0.250 0.742
O: 0.253 0.995 0.495
O: 0.747 0.005 0.505
O: 0.924 0.087 0.610
O: 0.720 0.487 0.246
O: 0.003 0.140 0.382
O: 0.902 0.481 0.852
O: 0.974 0.350 0.120
O: 0.305 0.247 0.493
O: 0.280 0.513 0.754
O: 0.402 0.019 0.648
O: 0.526 0.850 0.620
O: 0.297 0.275 0.246
O: 0.511 0.894 0.135
O: 0.682 0.750 0.242
O: 0.598 0.981 0.352
O: 0.853 0.676 0.150
O: 0.610 0.907 0.848
O: 0.195 0.747 0.993
O: 0.424 0.413 0.890
O: 0.503 0.360 0.118
O: 0.989 0.394 0.635
O: 0.082 0.920 0.906
O: 0.650 0.266 0.370
O: 0.247 0.495 0.995
O: 0.298 0.270 0.013
O: 0.362 0.834 0.893
O: 0.703 0.725 0.754
O: 0.353 0.824 0.350
O: 0.780 0.987 0.746
O: 0.350 0.734 0.630
O: 0.996 0.856 0.126
O: 0.739 0.502 0.738
O: 0.756 0.986 0.989
O: 0.890 0.407 0.348
O: 0.182 0.750 0.258
O: 0.138 0.334 0.393
O: 0.239 0.998 0.762
O: 0.318 0.250 0.758
O: 0.489 0.106 0.865
O: 0.110 0.593 0.652
O: 0.011 0.606 0.365
O: 0.092 0.170 0.618
O: 0.918 0.080 0.094
O: 0.004 0.144 0.874
O: 0.474 0.150 0.380
O: 0.753 0.505 0.005
O: 0.592 0.330 0.882
O: 0.761 0.002 0.238
O: 0.076 0.913 0.390
O: 0.203 0.775 0.746
O: 0.997 0.860 0.618
O: 0.850 0.766 0.870
O: 0.261 0.498 0.262
O: 0.244 0.014 0.011
O: 0.026 0.650 0.880
O: 0.418 0.420 0.406
O: 0.150 0.234 0.130
O: 0.582 0.580 0.594
O: 0.744 0.486 0.489
O: 0.908 0.830 0.382
O: 0.647 0.176 0.650
O: 0.147 0.324 0.850
O: 0.202 0.770 0.513
O: 0.576 0.587 0.110
O: 0.497 0.640 0.882
O: 0.390 0.093 0.152
O: 0.098 0.519 0.148
O: 0.702 0.730 0.987
O: 0.496 0.644 0.374
O: 0.862 0.666 0.607
O: 0.797 0.225 0.254
O: 0.798 0.230 0.487
Mo: 0.724 0.092 0.370
Mo: 0.740 0.639 0.603
Mo: 0.760 0.139 0.103
Mo: 0.754 0.380 0.364
Mo: 0.746 0.880 0.864
Mo: 0.240 0.861 0.897
Mo: 0.776 0.592 0.870
Mo: 0.231 0.850 0.360
Mo: 0.224 0.408 0.130
Mo: 0.246 0.620 0.636
Mo: 0.254 0.120 0.136
Mo: 0.769 0.150 0.640
Mo: 0.269 0.350 0.860
Mo: 0.260 0.361 0.397
Mo: 0.276 0.908 0.630
Mo: 0.731 0.650 0.140

#B
First-principles (GGA+U) data for a relaxed MoH4O5 crystal, as listed in the Materials Project.

abc: 4.052 6.393 7.729
angles: 97.54 90.13 90.01
Element x y z (fractional)
O: 0.522 0.977 0.243
O: 0.508 0.549 0.478
O: 0.522 0.957 0.744
O: 0.027 0.970 0.989
O: 0.017 0.275 0.295
O: 0.039 0.652 0.700
O: 0.029 0.261 0.753
O: 0.015 0.942 0.488
O: 0.025 0.656 0.177
O: 0.500 0.516 0.997
H: 0.230 0.605 0.098
H: 0.708 0.577 0.053
H: 0.508 0.400 0.428
H: 0.009 0.551 0.261
H: 0.211 0.612 0.605
H: 0.020 0.418 0.741
H: 0.710 0.576 0.551
H: 0.495 0.548 0.877
Mo: 0.958 0.001 0.266
Mo: 0.090 0.976 0.759

#C
First-principles (GGA+U) data for a relaxed MoH4O5 crystal, as listed in the Materials Project.

abc: 8.246 4.315 6.457
angles: 78.64 90.00 90.00
Element x y z (fractional)
O: 0.472 0.955 0.032
O: 0.238 0.581 0.223
O: 0.487 0.507 0.486
O: 0.718 0.023 0.456
O: 0.218 0.977 0.544
O: 0.738 0.419 0.777
O: 0.759 0.564 0.223
O: 0.972 0.045 0.968
O: 0.259 0.436 0.777
O: 0.987 0.493 0.514
H: 0.224 0.897 0.698
H: 0.724 0.103 0.302
H: 0.335 0.699 0.149
H: 0.835 0.301 0.851
H: 0.554 0.873 0.948
H: 0.054 0.127 0.052
H: 0.927 0.855 0.058
H: 0.427 0.145 0.942
Mo: 0.697 0.560 0.485
Mo: 0.197 0.440 0.515

The energy of each structure relative to the most stable one, in meV per atom, is as follows: #A 74; #B 0; #C 64.

#A
First-principles (GGA+U) data for a relaxed V4O3F9 crystal, as listed in the Materials Project.

abc: 5.361 5.361 8.900
angles: 76.05 76.05 58.79
Element x y z (fractional)
V: 0.251 0.019 0.134
V: 0.510 0.250 0.379
V: 0.981 0.749 0.866
V: 0.750 0.490 0.621
F: 0.215 0.785 0.000
F: 0.827 0.173 0.804
F: 0.827 0.173 0.196
F: 0.677 0.825 0.449
F: 0.324 0.681 0.703
F: 0.179 0.324 0.949
F: 0.676 0.821 0.051
F: 0.319 0.676 0.297
F: 0.175 0.323 0.551
O: 0.793 0.713 0.753
O: 0.710 0.290 0.500
O: 0.287 0.207 0.247

#B
First-principles (GGA+U) data for a relaxed V4O3F9 crystal, as listed in the Materials Project.

abc: 5.253 5.387 17.466
angles: 89.28 97.96 118.79
Element x y z (fractional)
O: 0.294 0.408 0.314
O: 0.672 0.047 0.703
O: 0.816 0.212 0.561
O: 0.652 0.541 0.207
O: 0.839 0.197 0.042
O: 0.862 0.429 0.833
F: 0.291 0.953 0.816
F: 0.767 0.669 0.058
F: 0.184 0.301 0.460
F: 0.658 0.833 0.914
F: 0.323 0.927 0.293
F: 0.159 0.792 0.961
F: 0.173 0.091 0.664
F: 0.314 0.137 0.084
F: 0.200 0.812 0.438
F: 0.829 0.722 0.541
F: 0.719 0.067 0.193
F: 0.338 0.682 0.583
F: 0.672 0.322 0.415
F: 0.352 0.481 0.790
F: 0.823 0.903 0.338
F: 0.218 0.311 0.937
F: 0.725 0.573 0.685
F: 0.173 0.597 0.166
V: 0.984 0.485 0.505
V: 0.216 0.613 0.873
V: 0.744 0.367 0.125
V: 0.753 0.905 0.630
V: 0.249 0.136 0.371
V: 0.507 0.716 0.249
V: 0.976 0.012 0.002
V: 0.517 0.258 0.750

The energy of each structure relative to the most stable one, in meV per atom, is as follows: #A 16; #B 0.

#A
First-principles (GGA+U) data for a relaxed V4O3F9 crystal, as listed in the Materials Project.

abc: 5.181 5.417 7.578
angles: 92.46 89.96 91.10
Element x y z (fractional)
F: 0.394 0.506 0.249
F: 0.899 0.004 0.750
F: 0.778 0.279 0.058
F: 0.204 0.706 0.944
F: 0.594 0.478 0.750
F: 0.096 0.990 0.250
F: 0.298 0.801 0.554
F: 0.209 0.311 0.543
F: 0.694 0.191 0.448
V: 0.999 0.996 0.499
V: 0.027 0.020 0.995
V: 0.522 0.511 0.496
V: 0.519 0.527 0.004
O: 0.783 0.693 0.459
O: 0.275 0.213 0.963
O: 0.711 0.775 0.036

#B
First-principles (GGA+U) data for a relaxed V4O3F9 crystal, as listed in the Materials Project.

abc: 5.242 5.386 17.534
angles: 89.89 97.83 118.61
Element x y z (fractional)
F: 0.826 0.915 0.337
F: 0.164 0.792 0.961
F: 0.219 0.310 0.937
F: 0.162 0.593 0.167
F: 0.331 0.952 0.292
F: 0.333 0.664 0.585
F: 0.672 0.344 0.414
F: 0.774 0.676 0.059
F: 0.709 0.068 0.191
F: 0.175 0.089 0.664
F: 0.324 0.152 0.084
F: 0.658 0.829 0.913
F: 0.728 0.568 0.687
F: 0.835 0.704 0.544
F: 0.789 0.186 0.560
F: 0.290 0.948 0.815
F: 0.281 0.423 0.314
F: 0.351 0.473 0.790
O: 0.649 0.550 0.208
O: 0.207 0.831 0.438
O: 0.860 0.424 0.833
O: 0.166 0.312 0.457
O: 0.673 0.041 0.702
O: 0.841 0.198 0.042
V: 0.754 0.890 0.630
V: 0.248 0.101 0.382
V: 0.216 0.610 0.873
V: 0.508 0.727 0.249
V: 0.517 0.250 0.751
V: 0.022 0.494 0.496
V: 0.743 0.372 0.125
V: 0.976 0.013 0.001

The energy of each structure relative to the most stable one, in meV per atom, is as follows: #A 13; #B 0.